The following is a DFT calculation (PBE+U) of a relaxed Li4Mn2Cr3Co3O16 crystal.

Cell: 9.936 5.774 9.284 Å, 90.00 90.16 90.00°
Space group Cm (No. 8)
Inequivalent atoms, fractional coordinates:
Li 0.000 0.000 0.000 (multiplicity 2)
Li 0.001 0.000 0.498 (multiplicity 2)
Li 0.158 0.500 0.903 (multiplicity 2)
Li 0.324 0.000 0.398 (multiplicity 2)
Mn 0.158 0.500 0.486 (multiplicity 2)
Mn 0.323 0.000 0.989 (multiplicity 2)
Cr 0.323 0.500 0.212 (multiplicity 2)
Cr 0.408 0.244 0.714 (multiplicity 4)
Co 0.079 0.255 0.217 (multiplicity 4)
Co 0.163 0.000 0.716 (multiplicity 2)
O 0.012 0.500 0.340 (multiplicity 2)
O 0.078 0.249 0.602 (multiplicity 4)
O 0.155 0.500 0.110 (multiplicity 2)
O 0.159 0.000 0.106 (multiplicity 2)
O 0.232 0.282 0.344 (multiplicity 4)
O 0.249 0.217 0.846 (multiplicity 4)
O 0.323 0.000 0.605 (multiplicity 2)
O 0.327 0.500 0.602 (multiplicity 2)
O 0.408 0.254 0.105 (multiplicity 4)
O 0.472 0.000 0.849 (multiplicity 2)
O 0.496 0.500 0.310 (multiplicity 2)
O 0.496 0.500 0.812 (multiplicity 2)

- Calculated formation energy: -1.8988 eV per atom

The following is a DFT calculation (PBE+U) of a relaxed Li4Mn3Cr2Co3O16 crystal.

Cell: 9.987 5.804 9.485 Å, 90.00 90.47 90.00°
Space group Cm (No. 8)
Inequivalent atoms, fractional coordinates:
Li 0.000 0.000 0.000 (multiplicity 2)
Li 0.001 0.000 0.503 (multiplicity 2)
Li 0.171 0.500 0.894 (multiplicity 2)
Li 0.337 0.000 0.399 (multiplicity 2)
Mn 0.090 0.254 0.220 (multiplicity 4)
Mn 0.174 0.000 0.719 (multiplicity 2)
Cr 0.173 0.500 0.491 (multiplicity 2)
Cr 0.342 0.000 0.988 (multiplicity 2)
Co 0.337 0.500 0.216 (multiplicity 2)
Co 0.421 0.246 0.717 (multiplicity 4)
O 0.004 0.000 0.315 (multiplicity 2)
O 0.004 0.000 0.812 (multiplicity 2)
O 0.023 0.500 0.340 (multiplicity 2)
O 0.085 0.243 0.608 (multiplicity 4)
O 0.166 0.000 0.108 (multiplicity 2)
O 0.171 0.500 0.114 (multiplicity 2)
O 0.242 0.275 0.346 (multiplicity 4)
O 0.264 0.222 0.840 (multiplicity 4)
O 0.339 0.000 0.615 (multiplicity 2)
O 0.341 0.500 0.610 (multiplicity 2)
O 0.426 0.252 0.106 (multiplicity 4)
O 0.486 0.000 0.841 (multiplicity 2)

- Calculated formation energy: -1.9000 eV per atom

The following is a DFT calculation (PBE+U) of a relaxed Li4Mn3CrCo2P6O24 crystal.

Cell: 8.415 8.486 8.604 Å, 63.07 63.78 64.17°
Space group P1 (No. 1)
Inequivalent atoms, fractional coordinates:
Li 0.000 0.000 0.000 (multiplicity 1)
Li 0.097 0.887 0.504 (multiplicity 1)
Li 0.211 0.385 0.409 (multiplicity 1)
Li 0.621 0.586 0.798 (multiplicity 1)
Mn 0.011 0.390 0.800 (multiplicity 1)
Mn 0.501 0.884 0.293 (multiplicity 1)
Mn 0.707 0.092 0.497 (multiplicity 1)
Cr 0.209 0.589 0.999 (multiplicity 1)
Co 0.367 0.746 0.134 (multiplicity 1)
Co 0.847 0.239 0.649 (multiplicity 1)
P 0.106 0.180 0.200 (multiplicity 1)
P 0.292 0.986 0.695 (multiplicity 1)
P 0.417 0.489 0.591 (multiplicity 1)
P 0.601 0.286 0.096 (multiplicity 1)
P 0.799 0.790 0.897 (multiplicity 1)
P 0.917 0.688 0.393 (multiplicity 1)
O 0.036 0.199 0.054 (multiplicity 1)
O 0.098 0.136 0.726 (multiplicity 1)
O 0.112 0.660 0.234 (multiplicity 1)
O 0.174 0.343 0.152 (multiplicity 1)
O 0.259 0.983 0.222 (multiplicity 1)
O 0.265 0.424 0.604 (multiplicity 1)
O 0.279 0.828 0.893 (multiplicity 1)
O 0.308 0.923 0.547 (multiplicity 1)
O 0.365 0.551 0.755 (multiplicity 1)
O 0.423 0.658 0.403 (multiplicity 1)
O 0.447 0.484 0.069 (multiplicity 1)
O 0.455 0.046 0.653 (multiplicity 1)
O 0.530 0.126 0.142 (multiplicity 1)
O 0.606 0.808 0.049 (multiplicity 1)
O 0.609 0.346 0.575 (multiplicity 1)
O 0.667 0.260 0.245 (multiplicity 1)
O 0.748 0.307 0.899 (multiplicity 1)
O 0.749 0.751 0.331 (multiplicity 1)
O 0.804 0.979 0.741 (multiplicity 1)
O 0.819 0.641 0.829 (multiplicity 1)
O 0.914 0.830 0.457 (multiplicity 1)
O 0.930 0.490 0.540 (multiplicity 1)
O 0.960 0.739 0.969 (multiplicity 1)
O 0.965 0.161 0.397 (multiplicity 1)

- Calculated formation energy: -2.4387 eV per atom

The following is a DFT calculation (PBE+U) of a relaxed Li4Nb2Cr3Co3O16 crystal.

Cell: 10.280 5.941 9.661 Å, 90.00 90.01 90.00°
Space group Cm (No. 8)
Inequivalent atoms, fractional coordinates:
Li 0.000 0.000 0.000 (multiplicity 2)
Li 0.000 0.000 0.500 (multiplicity 2)
Li 0.174 0.500 0.589 (multiplicity 2)
Li 0.341 0.000 0.096 (multiplicity 2)
Nb 0.173 0.500 0.000 (multiplicity 2)
Nb 0.338 0.000 0.495 (multiplicity 2)
Cr 0.091 0.255 0.276 (multiplicity 4)
Cr 0.177 0.000 0.779 (multiplicity 2)
Co 0.334 0.500 0.277 (multiplicity 2)
Co 0.420 0.243 0.773 (multiplicity 4)
O 0.000 0.000 0.185 (multiplicity 2)
O 0.001 0.000 0.689 (multiplicity 2)
O 0.025 0.500 0.152 (multiplicity 2)
O 0.094 0.245 0.902 (multiplicity 4)
O 0.169 0.000 0.399 (multiplicity 2)
O 0.176 0.500 0.382 (multiplicity 2)
O 0.250 0.282 0.156 (multiplicity 4)
O 0.262 0.219 0.649 (multiplicity 4)
O 0.337 0.500 0.900 (multiplicity 2)
O 0.347 0.000 0.881 (multiplicity 2)
O 0.419 0.253 0.396 (multiplicity 4)
O 0.487 0.000 0.643 (multiplicity 2)

- Calculated formation energy: -2.2470 eV per atom

The following is a DFT calculation (PBE+U) of a relaxed Li2CrCo3O8 crystal.

Cell: 5.776 5.935 8.216 Å, 87.95 90.00 89.93°
Space group P-1 (No. 2)
Inequivalent atoms, fractional coordinates:
Li 0.000 0.000 0.000 (multiplicity 1)
Li 0.000 0.500 0.500 (multiplicity 1)
Li 0.500 0.000 0.000 (multiplicity 1)
Li 0.500 0.500 0.500 (multiplicity 1)
Cr 0.000 0.000 0.500 (multiplicity 1)
Cr 0.500 0.500 0.000 (multiplicity 1)
Co 0.000 0.500 0.000 (multiplicity 1)
Co 0.248 0.253 0.248 (multiplicity 2)
Co 0.248 0.747 0.752 (multiplicity 2)
Co 0.500 0.000 0.500 (multiplicity 1)
O 0.000 0.044 0.255 (multiplicity 2)
O 0.000 0.464 0.235 (multiplicity 2)
O 0.243 0.273 0.020 (multiplicity 2)
O 0.243 0.727 0.980 (multiplicity 2)
O 0.247 0.763 0.523 (multiplicity 2)
O 0.248 0.235 0.477 (multiplicity 2)
O 0.500 0.043 0.258 (multiplicity 2)
O 0.500 0.460 0.242 (multiplicity 2)

- Calculated formation energy: -1.6702 eV per atom

The following is a DFT calculation (PBE+U) of a relaxed Li4Cr3CoO8 crystal.

Cell: 5.130 5.937 9.835 Å, 89.42 79.35 89.70°
Space group P-1 (No. 2)
Inequivalent atoms, fractional coordinates:
Li 0.000 0.250 0.001 (multiplicity 2)
Li 0.243 0.004 0.750 (multiplicity 2)
Li 0.256 0.496 0.752 (multiplicity 2)
Li 0.496 0.250 0.502 (multiplicity 2)
Cr 0.000 0.500 0.500 (multiplicity 1)
Cr 0.246 0.748 0.251 (multiplicity 2)
Cr 0.250 0.247 0.251 (multiplicity 2)
Cr 0.500 0.000 0.000 (multiplicity 1)
Co 0.000 0.000 0.500 (multiplicity 1)
Co 0.500 0.500 0.000 (multiplicity 1)
O 0.103 0.758 0.616 (multiplicity 2)
O 0.111 0.262 0.626 (multiplicity 2)
O 0.144 0.001 0.131 (multiplicity 2)
O 0.151 0.500 0.127 (multiplicity 2)
O 0.343 0.996 0.375 (multiplicity 2)
O 0.354 0.496 0.370 (multiplicity 2)
O 0.392 0.756 0.877 (multiplicity 2)
O 0.395 0.249 0.878 (multiplicity 2)

- Calculated formation energy: -2.2167 eV per atom

The following is a DFT calculation (PBE+U) of a relaxed Li2CrCo3O8 crystal.

Cell: 5.7156 5.7156 14.2560 Å, 90.00 90.00 120.00°
Space group R-3m (No. 166, hexagonal axes)
Inequivalent atoms, fractional coordinates:
Li 0.0000 0.0000 0.1231 (multiplicity 6)
Cr 0.0000 0.0000 0.5000 (multiplicity 3)
Co 0.0000 0.5000 0.0000 (multiplicity 9)
O 0.0000 0.0000 0.2629 (multiplicity 6)
O 0.0320 0.5160 0.2606 (multiplicity 18)

- Calculated formation energy: -1.6935 eV per atom

The following is a DFT calculation (PBE+U) of a relaxed Li4Cr5Co3O16 crystal.

Cell: 5.831 5.838 9.497 Å, 89.07 89.59 60.54°
Space group P1 (No. 1)
Inequivalent atoms, fractional coordinates:
Li 0.000 0.000 0.000 (multiplicity 1)
Li 0.000 0.000 0.498 (multiplicity 1)
Li 0.339 0.335 0.600 (multiplicity 1)
Li 0.681 0.665 0.103 (multiplicity 1)
Cr 0.172 0.170 0.288 (multiplicity 1)
Cr 0.342 0.832 0.787 (multiplicity 1)
Cr 0.349 0.337 0.013 (multiplicity 1)
Cr 0.664 0.679 0.511 (multiplicity 1)
Cr 0.837 0.339 0.786 (multiplicity 1)
Co 0.171 0.663 0.279 (multiplicity 1)
Co 0.665 0.173 0.282 (multiplicity 1)
Co 0.835 0.831 0.775 (multiplicity 1)
O 0.003 0.002 0.686 (multiplicity 1)
O 0.052 0.476 0.157 (multiplicity 1)
O 0.173 0.166 0.889 (multiplicity 1)
O 0.187 0.672 0.896 (multiplicity 1)
O 0.331 0.847 0.391 (multiplicity 1)
O 0.351 0.328 0.390 (multiplicity 1)
O 0.486 0.044 0.164 (multiplicity 1)
O 0.505 0.468 0.158 (multiplicity 1)
O 0.512 0.965 0.655 (multiplicity 1)
O 0.524 0.526 0.662 (multiplicity 1)
O 0.677 0.181 0.893 (multiplicity 1)
O 0.677 0.671 0.893 (multiplicity 1)
O 0.829 0.853 0.391 (multiplicity 1)
O 0.844 0.329 0.388 (multiplicity 1)
O 0.965 0.513 0.653 (multiplicity 1)
O 0.993 0.013 0.186 (multiplicity 1)

- Calculated formation energy: -1.9388 eV per atom

The following is a DFT calculation (PBE+U) of a relaxed Li2CrCo3O8 crystal.

Cell: 5.683 9.881 9.317 Å, 90.00 90.37 90.00°
Space group Cc (No. 9)
Inequivalent atoms, fractional coordinates:
Li 0.000 0.000 0.000 (multiplicity 4)
Li 0.499 0.166 0.393 (multiplicity 4)
Cr 0.005 0.332 0.487 (multiplicity 4)
Co 0.245 0.415 0.216 (multiplicity 4)
Co 0.252 0.085 0.714 (multiplicity 4)
Co 0.499 0.332 0.714 (multiplicity 4)
O 0.001 0.000 0.312 (multiplicity 4)
O 0.006 0.162 0.608 (multiplicity 4)
O 0.220 0.257 0.335 (multiplicity 4)
O 0.244 0.081 0.110 (multiplicity 4)
O 0.261 0.416 0.608 (multiplicity 4)
O 0.280 0.240 0.834 (multiplicity 4)
O 0.496 0.019 0.836 (multiplicity 4)
O 0.499 0.167 0.610 (multiplicity 4)

- Calculated formation energy: -1.6739 eV per atom

The following is a DFT calculation (PBE+U) of a relaxed Li4Cr3CoO8 crystal.

Cell: 5.897 6.621 8.880 Å, 81.77 70.74 63.78°
Space group P-1 (No. 2)
Inequivalent atoms, fractional coordinates:
Li 0.244 0.492 0.499 (multiplicity 2)
Li 0.250 0.998 0.001 (multiplicity 2)
Li 0.251 0.250 0.252 (multiplicity 2)
Li 0.254 0.751 0.750 (multiplicity 2)
Cr 0.000 0.000 0.500 (multiplicity 1)
Cr 0.000 0.500 0.000 (multiplicity 1)
Cr 0.002 0.750 0.251 (multiplicity 2)
Cr 0.499 0.249 0.750 (multiplicity 2)
Co 0.500 0.000 0.500 (multiplicity 1)
Co 0.500 0.500 0.000 (multiplicity 1)
O 0.118 0.241 0.509 (multiplicity 2)
O 0.129 0.484 0.759 (multiplicity 2)
O 0.131 0.734 0.008 (multiplicity 2)
O 0.131 0.984 0.258 (multiplicity 2)
O 0.367 0.016 0.741 (multiplicity 2)
O 0.371 0.264 0.991 (multiplicity 2)
O 0.371 0.517 0.246 (multiplicity 2)
O 0.376 0.776 0.492 (multiplicity 2)

- Calculated formation energy: -2.2211 eV per atom

The following is a DFT calculation (PBE+U) of a relaxed Li2CrCo3O8 crystal.

Cell: 5.737 5.806 10.092 Å, 90.09 105.96 119.59°
Space group P-1 (No. 2)
Inequivalent atoms, fractional coordinates:
Li 0.117 0.055 0.182 (multiplicity 2)
Li 0.118 0.565 0.682 (multiplicity 2)
Cr 0.496 0.744 0.250 (multiplicity 2)
Co 0.000 0.000 0.500 (multiplicity 1)
Co 0.000 0.500 0.000 (multiplicity 1)
Co 0.500 0.000 0.000 (multiplicity 1)
Co 0.500 0.000 0.500 (multiplicity 1)
Co 0.500 0.500 0.000 (multiplicity 1)
Co 0.500 0.500 0.500 (multiplicity 1)
O 0.240 0.599 0.890 (multiplicity 2)
O 0.254 0.846 0.112 (multiplicity 2)
O 0.257 0.401 0.111 (multiplicity 2)
O 0.259 0.912 0.615 (multiplicity 2)
O 0.265 0.134 0.397 (multiplicity 2)
O 0.269 0.373 0.615 (multiplicity 2)
O 0.294 0.644 0.392 (multiplicity 2)
O 0.296 0.155 0.892 (multiplicity 2)

- Calculated formation energy: -1.6930 eV per atom